PBE-GGA Mg6GaW, relaxed; energy above the most stable polymorph in this dataset = 0.010 eV per atom; DFT formation energy = 1.86 eV per formula unit
1.0
4.954 0.000 0.000
0.000 5.863 0.000
0.000 0.000 10.706
Mg Ga W
12 2 2
Cartesian
2.477 1.456 4.494
2.477 4.406 4.494
0.000 4.456 0.912
0.000 1.407 0.912
0.000 0.000 3.455
0.000 2.931 3.515
2.477 4.388 9.847
2.477 1.475 9.847
0.000 1.525 6.265
0.000 4.338 6.265
0.000 2.931 8.808
0.000 0.000 8.868
2.477 2.931 1.798
2.477 0.000 7.151
2.477 0.000 1.833
2.477 2.931 7.186

PBE-GGA Sb6Pb4S13, relaxed; space-group type = No. 1; DFT formation energy = -14.18 eV per formula unit
1.0
-1.305 3.233 1.874
-8.646 2.494 -14.450
-12.757 -11.110 6.125
Sb Pb S
12 8 26
Cartesian
-13.774 -1.706 -6.652
-17.858 -2.967 -7.337
-4.743 1.297 -5.458
-7.315 -1.270 -2.805
-6.085 -2.698 0.423
-19.640 -5.124 -4.837
-15.579 -3.923 -4.107
-3.432 -0.159 -2.129
-10.874 -1.224 -9.568
-9.714 -3.830 -0.086
-13.795 -8.731 1.298
-3.400 -0.014 1.993
-8.548 2.285 -9.842
-15.137 -2.426 -10.447
-17.048 -7.620 -2.823
-10.726 -6.281 3.412
-12.767 -6.228 -2.264
-8.742 1.887 -5.093
-13.372 -8.650 5.677
-11.332 -0.650 -2.527
-4.033 -2.677 1.869
-5.157 0.273 0.173
-11.323 -3.178 1.832
-17.167 -7.253 0.648
-9.689 0.364 -11.508
-13.217 -4.975 -4.721
-7.509 -2.035 2.481
-13.466 -6.176 1.308
-10.112 0.472 -7.774
-18.951 -5.053 -8.568
-6.874 1.448 -3.055
-9.140 -0.793 -0.768
-15.271 -3.834 -8.076
-2.950 2.496 -2.157
-16.916 -6.169 -5.199
-11.497 -3.562 -1.803
-20.683 -7.221 -6.043
-11.478 -2.769 -7.326
-19.628 -6.321 -2.687
-9.323 -4.203 4.971
-6.657 1.394 -6.972
-1.674 -0.443 -0.378
-9.156 -1.092 -4.433
-15.516 -5.103 -1.932
-13.830 -0.445 -8.778
-13.343 -5.797 4.935

PBE-GGA Na7Y2Sc2SiP5O24, relaxed; space-group type = No. 1; DFT formation energy = -125.43 eV per formula unit
1.0
-8.380 -2.908 2.648
2.756 -1.193 -8.739
8.825 -20.312 5.546
Na Y Sc Si P O
21 6 6 3 15 72
Cartesian
0.178 -6.631 -0.851
3.923 -5.814 -4.148
3.050 -17.856 0.186
-0.670 -18.688 3.697
6.293 -17.464 -3.565
3.459 -13.002 1.146
6.730 -12.707 -2.788
2.339 -14.967 -3.476
0.874 -3.735 -7.202
-3.014 -4.455 -3.840
1.456 -2.243 -2.425
1.882 -22.303 1.849
2.273 -20.643 6.630
-3.649 -11.557 2.247
1.000 -9.491 2.905
-1.201 -14.187 -3.207
-0.063 -0.121 -0.024
2.780 -19.194 3.488
-1.737 -9.082 0.699
0.487 -5.207 -4.124
4.889 -15.338 -1.344
7.488 -17.357 4.670
-2.617 -16.157 6.258
1.334 -16.132 2.669
-3.082 -6.096 -0.056
4.073 -22.304 4.265
-0.394 -12.068 1.454
-2.464 -11.203 -4.103
-4.254 -7.163 -5.222
-0.792 -2.119 -4.817
3.541 -12.225 -2.119
1.755 -8.187 -3.241
6.236 -18.377 -0.399
3.602 -18.477 -2.720
2.180 -12.851 3.974
-5.659 -5.310 -2.564
2.564 -7.157 -6.547
-1.744 -7.958 -2.930
2.999 -5.503 -1.181
4.897 -16.459 2.256
8.535 -16.122 -1.894
-2.119 -15.018 2.840
1.358 -14.552 -0.573
-4.810 -3.611 1.973
-1.328 -3.225 -1.459
4.673 -21.242 0.924
8.815 -19.208 1.926
7.928 -20.756 -2.378
1.025 -11.432 -4.404
1.930 -9.779 -0.065
5.107 -9.328 -3.452
1.088 -6.837 2.106
-1.978 -9.464 -3.177
-5.064 -9.372 2.637
5.746 -17.083 3.380
1.056 -20.171 0.230
0.406 -18.807 6.416
2.305 -17.490 -2.597
5.008 -14.921 2.327
8.107 -15.213 -3.071
-2.657 -7.123 -3.863
2.162 -4.300 -0.681
2.915 -5.699 -6.963
-0.898 -15.959 2.686
2.001 -14.476 3.869
1.792 -15.547 0.520
-4.776 -6.051 -1.401
-3.788 -4.627 1.418
-1.653 -4.702 -1.137
-2.581 -2.367 -1.176
-5.374 -3.698 -2.472
-5.270 -2.685 0.822
1.251 -12.129 2.840
0.397 -13.511 0.033
-1.721 -13.579 2.446
5.952 -22.107 0.934
8.741 -20.733 1.682
8.197 -21.735 -1.208
1.942 -12.270 -3.478
2.766 -10.992 -0.550
4.768 -10.790 -3.033
3.819 -8.467 -3.372
1.266 -9.928 -4.153
1.627 -8.827 -1.244
7.833 -18.441 1.007
7.116 -19.538 -1.868
4.969 -19.815 0.400
5.657 -9.419 -4.906
-0.445 -11.886 -4.187
2.794 -9.071 1.041
8.556 -18.937 3.431
9.314 -20.308 -2.904
3.648 -21.963 -0.016
-2.636 -14.967 4.295
6.472 -13.543 -5.029
0.594 -15.235 -1.727
-5.256 -5.739 -4.109
-6.096 -4.273 2.541
-0.193 -2.639 -0.579
1.448 -17.372 4.497
3.454 -16.965 2.456
0.963 -18.266 1.824
-2.110 -7.699 -1.430
-4.039 -7.980 0.808
-1.219 -6.594 1.220
4.025 -21.123 2.329
1.865 -21.586 4.222
4.308 -20.242 5.271
-1.383 -10.491 2.829
0.583 -10.192 0.592
-2.256 -11.590 0.169
-0.869 -3.183 -2.941
1.153 -2.853 -4.943
-1.336 -4.055 -5.614
4.509 -13.665 -3.217
2.661 -13.912 -1.127
5.145 -12.678 -0.724
2.015 -7.066 -5.091
-0.270 -7.506 -3.142
2.136 -6.213 -2.290
5.377 -16.864 0.838
7.222 -16.646 -1.251
4.751 -17.828 -1.725

PBE-GGA SmGe2Ir2, relaxed; space-group type = No. 129; DFT formation energy = -3.90 eV per formula unit
1.0
-0.993 1.197 3.959
-3.235 -2.762 0.024
6.175 -7.199 3.725
Sm Ge Ir
2 4 4
Cartesian
-0.031 -3.230 0.969
4.093 -4.752 4.748
3.088 -3.600 1.862
0.974 -4.382 3.854
3.746 -7.634 3.247
0.316 -0.348 2.469
0.000 0.000 0.000
-2.114 -0.783 1.992
2.265 -5.907 2.354
1.797 -2.075 3.363

PBE-GGA Cs2RbSbCl6, relaxed; space-group type = No. 225; DFT formation energy = -19.22 eV per formula unit
1.0
-2.073 -5.980 -5.216
-7.894 -1.942 -1.083
-3.743 1.834 -7.063
Cs Rb Sb Cl
2 1 1 6
Cartesian
-10.282 -4.566 -10.022
-3.427 -1.522 -3.341
-6.855 -3.044 -6.681
0.000 0.000 0.000
-4.271 -4.631 -5.889
-5.173 -0.408 -6.888
-9.439 -1.457 -7.473
-7.417 -2.449 -3.656
-6.293 -3.639 -9.706
-8.537 -5.680 -6.475